{"formula": "Ce2WO6", "functional": "GGA+U", "state": "optimized geometry", "e_form_mev_per_atom": -3247.7, "relative_energy_ev_per_atom": 0.000, "corrected_energy_ev_per_atom": -9.30, "sg": "C2/c", "energy_ev_per_atom": -8.35, "lattice": [[8.2366, -5.6386, 0.0000], [8.2366, 5.6386, 0.0000], [-1.4900, 0.0000, 5.3375]], "species": ["Ce", "Ce", "Ce", "Ce", "Ce", "Ce", "Ce", "Ce", "W", "W", "W", "W", "O", "O", "O", "O", "O", "O", "O", "O", "O", "O", "O", "O", "O", "O", "O", "O", "O", "O", "O", "O", "O", "O", "O", "O"], "frac_coords": [[0.1178, 0.8822, 0.7500], [0.2120, 0.4399, 0.6097], [0.3794, 0.6206, 0.2500], [0.4399, 0.2120, 0.1097], [0.5601, 0.7880, 0.8903], [0.6206, 0.3794, 0.7500], [0.7880, 0.5601, 0.3903], [0.8822, 0.1178, 0.2500], [0.0025, 0.3193, 0.9213], [0.3193, 0.0025, 0.4213], [0.6807, 0.9975, 0.5787], [0.9975, 0.6807, 0.0787], [0.0310, 0.4622, 0.2257], [0.0387, 0.1238, 0.9793], [0.1238, 0.0387, 0.4793], [0.1270, 0.6869, 0.3944], [0.1856, 0.6461, 0.9166], [0.1986, 0.2869, 0.8569], [0.2869, 0.1986, 0.3569], [0.3131, 0.8730, 0.1056], [0.3539, 0.8144, 0.5834], [0.3961, 0.4283, 0.4221], [0.4283, 0.3961, 0.9221], [0.4622, 0.0310, 0.7257], [0.5378, 0.9690, 0.2743], [0.5717, 0.6039, 0.0779], [0.6039, 0.5717, 0.5779], [0.6461, 0.1856, 0.4166], [0.6869, 0.1270, 0.8944], [0.7131, 0.8014, 0.6431], [0.8014, 0.7131, 0.1431], [0.8144, 0.3539, 0.0834], [0.8730, 0.3131, 0.6056], [0.8762, 0.9613, 0.5207], [0.9613, 0.8762, 0.0207], [0.9690, 0.5378, 0.7743]]}



{"formula": "Ba3Cr2O8", "functional": "GGA+U", "state": "optimized geometry", "e_form_mev_per_atom": -2620.5, "relative_energy_ev_per_atom": 0.009, "corrected_energy_ev_per_atom": -7.59, "sg": "P1", "energy_ev_per_atom": -6.86, "lattice": [[5.8453, 0.0000, 0.0000], [2.9183, 5.0669, 0.0000], [2.9148, 1.6843, 7.2221]], "species": ["Ba", "Ba", "Ba", "Cr", "Cr", "O", "O", "O", "O", "O", "O", "O", "O"], "frac_coords": [[0.0000, 0.0000, 0.0000], [0.1999, 0.2100, 0.3810], [0.4125, 0.4120, 0.7620], [0.6115, 0.6143, 0.1598], [0.7972, 0.8004, 0.6023], [0.4493, 0.9338, 0.6869], [0.4756, 0.9626, 0.0768], [0.4768, 0.4836, 0.0762], [0.5436, 0.5306, 0.3963], [0.8871, 0.8702, 0.3657], [0.9278, 0.9375, 0.6842], [0.9311, 0.4504, 0.6816], [0.9618, 0.4778, 0.0804]]}



{"formula": "Sr3Co2Cl2O5", "functional": "GGA+U", "state": "optimized geometry", "e_form_mev_per_atom": -2133.6, "relative_energy_ev_per_atom": 0.059, "corrected_energy_ev_per_atom": -6.11, "sg": "I4mm", "energy_ev_per_atom": -5.55, "lattice": [[-1.9341, 1.9341, 12.3170], [1.9341, -1.9341, 12.3170], [1.9341, 1.9341, -12.3170]], "species": ["Sr", "Sr", "Sr", "Co", "Co", "Cl", "Cl", "O", "O", "O", "O", "O"], "frac_coords": [[0.0000, 0.0000, 0.0000], [0.1525, 0.1525, 0.0000], [0.8446, 0.8446, 0.0000], [0.4222, 0.4222, 0.0000], [0.5732, 0.5732, 0.0000], [0.2945, 0.2945, 0.0000], [0.7022, 0.7022, 0.0000], [0.0859, 0.5859, 0.5000], [0.4124, 0.9124, 0.5000], [0.4994, 0.4994, 0.0000], [0.5859, 0.0859, 0.5000], [0.9124, 0.4124, 0.5000]]}



{"formula": "LiV6O7F5", "functional": "GGA+U", "state": "optimized geometry", "e_form_mev_per_atom": -2718.6, "relative_energy_ev_per_atom": 0.034, "corrected_energy_ev_per_atom": -8.01, "sg": "P1", "energy_ev_per_atom": -7.10, "lattice": [[5.7033, 0.0000, 0.0000], [1.9370, 5.3915, 0.0000], [2.6458, 1.9133, 6.9870]], "species": ["Li", "V", "V", "V", "V", "V", "V", "O", "O", "O", "O", "O", "O", "O", "F", "F", "F", "F", "F"], "frac_coords": [[0.0000, 0.0000, 0.0000], [0.0881, 0.5712, 0.8933], [0.0989, 0.6074, 0.4241], [0.4343, 0.9129, 0.0866], [0.4429, 0.8859, 0.5778], [0.7153, 0.2391, 0.7259], [0.7482, 0.2624, 0.2704], [0.0565, 0.9679, 0.2341], [0.1933, 0.6896, 0.6140], [0.3663, 0.2674, 0.9131], [0.4529, 0.5586, 0.2515], [0.6414, 0.1327, 0.5450], [0.7371, 0.5943, 0.5769], [0.7945, 0.8918, 0.9153], [0.1243, 0.2061, 0.5836], [0.3219, 0.8033, 0.8815], [0.5296, 0.0199, 0.2813], [0.8365, 0.3496, 0.9531], [0.9903, 0.4967, 0.2046]]}



{"formula": "LiLuZnFeO4", "functional": "GGA+U", "state": "optimized geometry", "e_form_mev_per_atom": -2339.2, "relative_energy_ev_per_atom": 0.097, "corrected_energy_ev_per_atom": -6.83, "sg": "R3m", "energy_ev_per_atom": -6.21, "lattice": [[1.6413, 0.9476, 10.4858], [-1.6413, 0.9476, 10.4858], [0.0000, -1.8952, 10.4858]], "species": ["Li", "Lu", "Zn", "Fe", "O", "O", "O", "O"], "frac_coords": [[0.0000, 0.0000, 0.0000], [0.4967, 0.4967, 0.4967], [0.7318, 0.7318, 0.7318], [0.2632, 0.2632, 0.2632], [0.1987, 0.1987, 0.1987], [0.3740, 0.3740, 0.3740], [0.6219, 0.6219, 0.6219], [0.7946, 0.7946, 0.7946]]}



{"formula": "LiCrGe2O6", "functional": "GGA+U", "state": "optimized geometry", "e_form_mev_per_atom": -2229.3, "relative_energy_ev_per_atom": 0.010, "corrected_energy_ev_per_atom": -7.28, "energy_ev_per_atom": -6.67, "lattice": [[-5.3846, 1.4273, 0.3435], [-2.0360, -1.9218, 6.1290], [5.1287, 10.5985, 5.7291]], "species": ["Ge", "Ge", "Ge", "Ge", "Ge", "Ge", "Ge", "Ge", "O", "O", "O", "O", "O", "O", "O", "O", "O", "O", "O", "O", "O", "O", "O", "O", "O", "O", "O", "O", "O", "O", "O", "O", "Li", "Li", "Li", "Li", "Cr", "Cr", "Cr", "Cr"], "frac_coords": [[0.8456, 0.3856, 0.5979], [0.9403, 0.1961, 0.1926], [0.5598, 0.8035, 0.3074], [0.6544, 0.6146, 0.9021], [0.3455, 0.3854, 0.0979], [0.0597, 0.8039, 0.8074], [0.1544, 0.6144, 0.4021], [0.4402, 0.1965, 0.6926], [0.7440, 0.6377, 0.5403], [0.1175, 0.3334, 0.6951], [0.3652, 0.1943, 0.0071], [0.6348, 0.8057, 0.9929], [0.5211, 0.0828, 0.8189], [0.9108, 0.6097, 0.8335], [0.0216, 0.0819, 0.3189], [0.2436, 0.6376, 0.0406], [0.4557, 0.0138, 0.5974], [0.5444, 0.9862, 0.4026], [0.2560, 0.3623, 0.4597], [0.3823, 0.6666, 0.8049], [0.8652, 0.1946, 0.5069], [0.8825, 0.6667, 0.3049], [0.7564, 0.3624, 0.9595], [0.4788, 0.9172, 0.1811], [0.9557, 0.0137, 0.0973], [0.4108, 0.6093, 0.3334], [0.9784, 0.9181, 0.6811], [0.6177, 0.3334, 0.1951], [0.1348, 0.8054, 0.4931], [0.5892, 0.3907, 0.6666], [0.0892, 0.3903, 0.1665], [0.0443, 0.9864, 0.9027], [0.1126, 0.2759, 0.8617], [0.8874, 0.7241, 0.1383], [0.3875, 0.7240, 0.6384], [0.6125, 0.2760, 0.3616], [0.7061, 0.0877, 0.9562], [0.7936, 0.9128, 0.5436], [0.2064, 0.0872, 0.4564], [0.2939, 0.9123, 0.0438]]}



{"formula": "Y2Mn3Sb3O14", "functional": "GGA+U", "state": "optimized geometry", "e_form_mev_per_atom": -2472.1, "corrected_energy_ev_per_atom": -8.02, "sg": "C2/m", "energy_ev_per_atom": -7.36, "lattice": [[6.1707, -3.6766, 0.0000], [6.1707, 3.6766, 0.0000], [-4.1904, 0.0000, 12.0910]], "species": ["Y", "Y", "Y", "Y", "Mn", "Mn", "Mn", "Mn", "Mn", "Mn", "Sb", "Sb", "Sb", "Sb", "Sb", "Sb", "O", "O", "O", "O", "O", "O", "O", "O", "O", "O", "O", "O", "O", "O", "O", "O", "O", "O", "O", "O", "O", "O", "O", "O", "O", "O", "O", "O"], "frac_coords": [[0.2501, 0.7501, 0.2500], [0.2499, 0.7499, 0.7500], [0.7501, 0.2501, 0.2500], [0.7499, 0.2499, 0.7500], [0.0000, 0.0000, 0.0000], [0.0000, 0.0000, 0.5000], [0.2501, 0.2501, 0.2498], [0.5000, 0.5000, 0.0000], [0.5000, 0.5000, 0.5000], [0.7499, 0.7499, 0.7502], [0.0000, 0.5000, 0.0000], [0.0000, 0.5000, 0.5000], [0.2500, 0.2500, 0.7500], [0.5000, 0.0000, 0.0000], [0.5000, 0.0000, 0.5000], [0.7500, 0.7500, 0.2500], [0.0069, 0.4183, 0.8371], [0.0682, 0.0682, 0.1856], [0.0816, 0.4932, 0.6629], [0.0845, 0.0845, 0.6763], [0.1152, 0.7171, 0.5439], [0.2049, 0.2049, 0.0337], [0.2171, 0.6151, 0.0439], [0.2829, 0.8848, 0.4561], [0.2950, 0.2950, 0.4667], [0.3849, 0.7829, 0.9561], [0.4155, 0.4155, 0.8237], [0.4183, 0.0069, 0.8371], [0.4318, 0.4318, 0.3143], [0.4932, 0.0816, 0.6629], [0.5068, 0.9184, 0.3371], [0.5682, 0.5682, 0.6857], [0.5817, 0.9931, 0.1629], [0.5845, 0.5845, 0.1763], [0.6151, 0.2171, 0.0439], [0.7050, 0.7050, 0.5333], [0.7171, 0.1152, 0.5439], [0.7829, 0.3849, 0.9561], [0.7951, 0.7951, 0.9663], [0.8848, 0.2829, 0.4561], [0.9155, 0.9155, 0.3237], [0.9184, 0.5068, 0.3371], [0.9318, 0.9318, 0.8144], [0.9931, 0.5817, 0.1629]]}



{"formula": "Na4MgMo2O8", "functional": "GGA+U", "state": "optimized geometry", "e_form_mev_per_atom": -2042.3, "relative_energy_ev_per_atom": 0.003, "corrected_energy_ev_per_atom": -6.59, "sg": "Imm2", "energy_ev_per_atom": -5.79, "lattice": [[-3.2338, 3.3227, 4.9263], [3.2338, -3.3227, 4.9263], [3.2338, 3.3227, -4.9263]], "species": ["Na", "Na", "Na", "Na", "Mg", "Mo", "Mo", "O", "O", "O", "O", "O", "O", "O", "O"], "frac_coords": [[0.2237, 0.0000, 0.2237], [0.3154, 0.0870, 0.7716], [0.3154, 0.5437, 0.2284], [0.7763, 0.0000, 0.7763], [0.7231, 0.2231, 0.5000], [0.0076, 0.5076, 0.5000], [0.6704, 0.6704, 0.0000], [0.0046, 0.7668, 0.2379], [0.0743, 0.3674, 0.7069], [0.0797, 0.3188, 0.2392], [0.0797, 0.8405, 0.7608], [0.5289, 0.7668, 0.7621], [0.5880, 0.3183, 0.7303], [0.5880, 0.8576, 0.2697], [0.6605, 0.3674, 0.2931]]}



{"formula": "V3O5F", "functional": "GGA+U", "state": "optimized geometry", "e_form_mev_per_atom": -2590.3, "relative_energy_ev_per_atom": 0.014, "corrected_energy_ev_per_atom": -8.58, "sg": "Amm2", "energy_ev_per_atom": -7.58, "lattice": [[9.1650, 0.0000, 0.0000], [0.0000, 3.1880, 3.3028], [0.0000, -3.1880, 3.3028]], "species": ["V", "V", "V", "V", "V", "V", "O", "O", "O", "O", "O", "O", "O", "O", "O", "O", "F", "F"], "frac_coords": [[0.0000, 0.0000, 0.0000], [0.1563, 0.5021, 0.5021], [0.3345, 0.0396, 0.0396], [0.5000, 0.5011, 0.5011], [0.6655, 0.0396, 0.0396], [0.8437, 0.5021, 0.5021], [0.0000, 0.3075, 0.3075], [0.0000, 0.7043, 0.7043], [0.1706, 0.2068, 0.8070], [0.1706, 0.8070, 0.2068], [0.3313, 0.3103, 0.3103], [0.5000, 0.2009, 0.8145], [0.5000, 0.8145, 0.2009], [0.6687, 0.3103, 0.3103], [0.8294, 0.2068, 0.8070], [0.8294, 0.8070, 0.2068], [0.3317, 0.7111, 0.7111], [0.6683, 0.7111, 0.7111]]}



{"formula": "RbVI2O8", "functional": "GGA+U", "state": "optimized geometry", "e_form_mev_per_atom": -1477.5, "corrected_energy_ev_per_atom": -5.87, "sg": "P-1", "energy_ev_per_atom": -5.27, "lattice": [[5.3570, 0.0000, 0.0000], [-0.1868, 8.1874, 0.0000], [-0.2037, -3.3342, 9.5379]], "species": ["Rb", "Rb", "V", "V", "I", "I", "I", "I", "O", "O", "O", "O", "O", "O", "O", "O", "O", "O", "O", "O", "O", "O", "O", "O"], "frac_coords": [[0.2412, 0.1912, 0.4144], [0.7588, 0.8088, 0.5856], [0.2669, 0.6359, 0.8050], [0.7331, 0.3641, 0.1950], [0.1692, 0.1476, 0.9415], [0.2407, 0.6291, 0.2668], [0.7593, 0.3709, 0.7332], [0.8308, 0.8524, 0.0585], [0.0176, 0.4690, 0.6609], [0.0622, 0.3294, 0.1001], [0.1336, 0.9670, 0.1105], [0.1648, 0.2609, 0.8117], [0.2813, 0.8270, 0.4121], [0.3020, 0.8196, 0.7694], [0.4318, 0.6555, 0.9521], [0.4957, 0.5086, 0.3258], [0.5043, 0.4914, 0.6742], [0.5682, 0.3445, 0.0479], [0.6980, 0.1804, 0.2306], [0.7187, 0.1730, 0.5879], [0.8352, 0.7391, 0.1883], [0.8664, 0.0330, 0.8895], [0.9378, 0.6706, 0.8999], [0.9824, 0.5310, 0.3391]]}



{"formula": "Li4Fe7P6O24", "functional": "GGA+U", "state": "optimized geometry", "e_form_mev_per_atom": -2359.6, "relative_energy_ev_per_atom": 0.006, "corrected_energy_ev_per_atom": -7.68, "sg": "Cm", "energy_ev_per_atom": -6.89, "lattice": [[5.4216, -7.1388, 0.0000], [5.4216, 7.1388, 0.0000], [-1.8062, 0.0000, 6.3173]], "species": ["Li", "Li", "Li", "Li", "Fe", "Fe", "Fe", "Fe", "Fe", "Fe", "Fe", "P", "P", "P", "P", "P", "P", "O", "O", "O", "O", "O", "O", "O", "O", "O", "O", "O", "O", "O", "O", "O", "O", "O", "O", "O", "O", "O", "O", "O", "O"], "frac_coords": [[0.0000, 0.0000, 0.0000], [0.3279, 0.5587, 0.0005], [0.5587, 0.3279, 0.0005], [0.6270, 0.6270, 0.9163], [0.3241, 0.6613, 0.4952], [0.3542, 0.9947, 0.3163], [0.6343, 0.9891, 0.6747], [0.6613, 0.3241, 0.4952], [0.9891, 0.6343, 0.6747], [0.9947, 0.3542, 0.3163], [0.9954, 0.9954, 0.4995], [0.0770, 0.7126, 0.1929], [0.2738, 0.8988, 0.7985], [0.3202, 0.3202, 0.5812], [0.6671, 0.6671, 0.4032], [0.7126, 0.0770, 0.1929], [0.8988, 0.2738, 0.7985], [0.0136, 0.3510, 0.0123], [0.0247, 0.6159, 0.3604], [0.0945, 0.8910, 0.7416], [0.0994, 0.8953, 0.2570], [0.1907, 0.1907, 0.6275], [0.2419, 0.4205, 0.4474], [0.2523, 0.7059, 0.1979], [0.2658, 0.7184, 0.7861], [0.3510, 0.0136, 0.0123], [0.3702, 0.9465, 0.6278], [0.4205, 0.2419, 0.4474], [0.4332, 0.4332, 0.7873], [0.5614, 0.5614, 0.1897], [0.5656, 0.7400, 0.5426], [0.6159, 0.0247, 0.3604], [0.6483, 0.9592, 0.9784], [0.7059, 0.2523, 0.1979], [0.7184, 0.2658, 0.7861], [0.7400, 0.5656, 0.5426], [0.7998, 0.7998, 0.3681], [0.8910, 0.0945, 0.7416], [0.8953, 0.0994, 0.2570], [0.9465, 0.3702, 0.6278], [0.9592, 0.6483, 0.9784]]}



{"formula": "MgFe6O6F6", "functional": "GGA+U", "state": "optimized geometry", "e_form_mev_per_atom": -2107.5, "relative_energy_ev_per_atom": 0.036, "corrected_energy_ev_per_atom": -7.03, "sg": "P1", "energy_ev_per_atom": -5.96, "lattice": [[5.2233, 0.0000, 0.0000], [-0.0071, 5.4877, 0.0000], [-0.3856, -0.0668, 8.6644]], "species": ["Mg", "Fe", "Fe", "Fe", "Fe", "Fe", "Fe", "O", "O", "O", "O", "O", "O", "F", "F", "F", "F", "F", "F"], "frac_coords": [[0.0000, 0.0000, 0.0000], [0.0136, 0.4605, 0.1760], [0.0361, 0.4565, 0.8059], [0.3868, 0.9452, 0.6527], [0.5014, 0.2068, 0.9749], [0.5251, 0.1044, 0.3235], [0.8680, 0.6149, 0.4872], [0.1433, 0.6820, 0.6521], [0.2215, 0.1541, 0.8108], [0.2767, 0.1691, 0.1518], [0.6296, 0.8772, 0.4914], [0.7438, 0.3807, 0.3360], [0.8388, 0.3467, 0.9771], [0.1354, 0.6980, 0.3386], [0.1792, 0.6887, 0.9773], [0.2673, 0.1795, 0.4892], [0.6665, 0.9106, 0.8266], [0.7393, 0.4056, 0.6596], [0.7412, 0.9274, 0.1590]]}